# 1
# PBE-GGA Fe3Te2Se, relaxed
# - ΔE_f: -197 meV per atom
# - E: -71.80 eV/cell
# - Density: 6.75 g/cm³
data_Fe3Te2Se
_chemical_formula_sum 'Fe6 Te4 Se2'
_cell_length_a 3.6190
_cell_length_b 3.6190
_cell_length_c 18.8442
_cell_angle_alpha 90.00
_cell_angle_beta 90.00
_cell_angle_gamma 90.00
_symmetry_space_group_name_H-M 'P 4 m m'
_symmetry_Int_Tables_number 99
loop_
_symmetry_equiv_pos_as_xyz
'x,y,z'
'-y,x,z'
'-x,-y,z'
'y,-x,z'
'-x,y,z'
'y,x,z'
'x,-y,z'
'-y,-x,z'
loop_
_atom_site_label
_atom_site_fract_x
_atom_site_fract_y
_atom_site_fract_z
_atom_site_occupancy
Fe1 0.0000 0.5000 0.0000 1
Fe2 0.0000 0.5000 0.3298 1
Fe3 0.0000 0.5000 0.6670 1
Te1 0.0000 0.0000 0.2325 1
Te2 0.0000 0.0000 0.5699 1
Te3 0.0000 0.0000 0.9026 1
Te4 0.5000 0.5000 0.4270 1
Se1 0.5000 0.5000 0.0842 1
Se2 0.5000 0.5000 0.7512 1



# 2
# PBE-GGA Th2FeSe5, relaxed
# - ΔE_f: -1604 meV per atom
# - E: -204.98 eV/cell
# - Density: 7.68 g/cm³
data_Th2FeSe5
_chemical_formula_sum 'Th8 Fe4 Se20'
_cell_length_a 15.6681
_cell_length_b 6.7152
_cell_length_c 7.5763
_cell_angle_alpha 90.00
_cell_angle_beta 97.23
_cell_angle_gamma 90.00
_symmetry_space_group_name_H-M 'C 1 2/c 1'
_symmetry_Int_Tables_number 15
loop_
_symmetry_equiv_pos_as_xyz
'x,y,z'
'-x,-y,-z'
'-x,y,-z+1/2'
'x,-y,z+1/2'
'x+1/2,y+1/2,z'
'-x+1/2,-y+1/2,-z'
'-x+1/2,y+1/2,-z+1/2'
'x+1/2,-y+1/2,z+1/2'
loop_
_atom_site_label
_atom_site_fract_x
_atom_site_fract_y
_atom_site_fract_z
_atom_site_occupancy
Th1 0.1070 0.2174 0.0814 1
Fe1 0.2500 0.2500 0.5000 1
Se1 0.0000 0.0806 0.7500 1
Se2 0.0896 0.3786 0.4299 1
Se3 0.2207 0.0795 0.8115 1



# 3
# PBE-GGA Ti4FeSe8, relaxed
# - ΔE_f: -1296 meV per atom
# - E: -162.18 eV/cell
# - Density: 5.54 g/cm³
data_Ti4FeSe8
_chemical_formula_sum 'Ti8 Fe2 Se16'
_cell_length_a 12.0240
_cell_length_b 7.1176
_cell_length_c 8.5796
_cell_angle_alpha 90.00
_cell_angle_beta 134.16
_cell_angle_gamma 90.00
_symmetry_space_group_name_H-M 'C 1 2/m 1'
_symmetry_Int_Tables_number 12
loop_
_symmetry_equiv_pos_as_xyz
'x,y,z'
'-x,-y,-z'
'-x,y,-z'
'x,-y,z'
'x+1/2,y+1/2,z'
'-x+1/2,-y+1/2,-z'
'-x+1/2,y+1/2,-z'
'x+1/2,-y+1/2,z'
loop_
_atom_site_label
_atom_site_fract_x
_atom_site_fract_y
_atom_site_fract_z
_atom_site_occupancy
Ti1 0.0000 0.2384 0.0000 1
Ti2 0.2465 0.0000 0.4905 1
Fe1 0.0000 0.5000 0.5000 1
Se1 0.0444 0.5000 0.8352 1
Se2 0.0465 0.0000 0.8310 1
Se3 0.2040 0.2477 0.6692 1



# 4
# PBE-GGA Tl2FeSe2, relaxed
# - ΔE_f: 432 meV per atom
# - E: -34.17 eV/cell
# - Density: 6.46 g/cm³
data_Tl2FeSe2
_chemical_formula_sum 'Tl4 Fe2 Se4'
_cell_length_a 5.2181
_cell_length_b 5.2181
_cell_length_c 11.7483
_cell_angle_alpha 90.00
_cell_angle_beta 90.00
_cell_angle_gamma 90.00
_symmetry_space_group_name_H-M 'I 4/m m m'
_symmetry_Int_Tables_number 139
_symmetry_space_group_name_Hall '-I 4 2'
loop_
_atom_site_label
_atom_site_fract_x
_atom_site_fract_y
_atom_site_fract_z
_atom_site_occupancy
Tl1 0.0000 0.5000 0.2500 1
Fe1 0.0000 0.0000 0.0000 1
Se1 0.0000 0.0000 0.3975 1



# 5
# PBE-GGA TlFeSe2, relaxed
# - ΔE_f: -507 meV per atom
# - E: -75.63 eV/cell
# - Density: 6.46 g/cm³
data_TlFeSe2
_chemical_formula_sum 'Tl4 Fe4 Se8'
_cell_length_a 12.8239
_cell_length_b 5.4965
_cell_length_c 6.9450
_cell_angle_alpha 90.00
_cell_angle_beta 118.58
_cell_angle_gamma 90.00
_symmetry_space_group_name_H-M 'C 1 2/m 1'
_symmetry_Int_Tables_number 12
loop_
_symmetry_equiv_pos_as_xyz
'x,y,z'
'-x,-y,-z'
'-x,y,-z'
'x,-y,z'
'x+1/2,y+1/2,z'
'-x+1/2,-y+1/2,-z'
'-x+1/2,y+1/2,-z'
'x+1/2,-y+1/2,z'
loop_
_atom_site_label
_atom_site_fract_x
_atom_site_fract_y
_atom_site_fract_z
_atom_site_occupancy
Tl1 0.1866 0.0000 0.1385 1
Fe1 0.0000 0.2485 0.5000 1
Se1 0.0357 0.5000 0.7927 1
Se2 0.1646 0.0000 0.5881 1



# 6
# PBE-GGA TlFeSe2, relaxed
# - ΔE_f: -401 meV per atom
# - E: -36.97 eV/cell
# - Density: 6.83 g/cm³
data_TlFeSe2
_chemical_formula_sum 'Tl2 Fe2 Se4'
_cell_length_a 3.7736
_cell_length_b 3.7736
_cell_length_c 14.2837
_cell_angle_alpha 90.00
_cell_angle_beta 90.00
_cell_angle_gamma 90.00
_symmetry_space_group_name_H-M 'I -4 m 2'
_symmetry_Int_Tables_number 119
_symmetry_space_group_name_Hall 'I -4 -2'
loop_
_atom_site_label
_atom_site_fract_x
_atom_site_fract_y
_atom_site_fract_z
_atom_site_occupancy
Tl1 0.0000 0.0000 0.0000 1
Fe1 0.0000 0.5000 0.7500 1
Se1 0.0000 0.0000 0.3521 1



# 7
# PBE-GGA U2FeSe5, relaxed
# - ΔE_f: -1014 meV per atom
# - E: -217.14 eV/cell
# - Density: 8.48 g/cm³
data_U2FeSe5
_chemical_formula_sum 'U8 Fe4 Se20'
_cell_length_a 15.2745
_cell_length_b 6.5282
_cell_length_c 7.3454
_cell_angle_alpha 90.00
_cell_angle_beta 97.76
_cell_angle_gamma 90.00
_symmetry_space_group_name_H-M 'C 1 2/c 1'
_symmetry_Int_Tables_number 15
loop_
_symmetry_equiv_pos_as_xyz
'x,y,z'
'-x,-y,-z'
'-x,y,-z+1/2'
'x,-y,z+1/2'
'x+1/2,y+1/2,z'
'-x+1/2,-y+1/2,-z'
'-x+1/2,y+1/2,-z+1/2'
'x+1/2,-y+1/2,z+1/2'
loop_
_atom_site_label
_atom_site_fract_x
_atom_site_fract_y
_atom_site_fract_z
_atom_site_occupancy
U1 0.1080 0.2120 0.0899 1
Fe1 0.2500 0.2500 0.5000 1
Se1 0.0000 0.0896 0.7500 1
Se2 0.0884 0.3877 0.4280 1
Se3 0.2189 0.0889 0.8101 1



# 8
# PBE-GGA UFeSe3, relaxed
# - ΔE_f: -824 meV per atom
# - E: -131.82 eV/cell
# - Density: 8.25 g/cm³
data_UFeSe3
_chemical_formula_sum 'U4 Fe4 Se12'
_cell_length_a 3.8753
_cell_length_b 11.9968
_cell_length_c 9.1871
_cell_angle_alpha 90.00
_cell_angle_beta 90.00
_cell_angle_gamma 90.00
_symmetry_space_group_name_H-M 'C m c m'
_symmetry_Int_Tables_number 63
_symmetry_space_group_name_Hall '-C 2c 2'
loop_
_atom_site_label
_atom_site_fract_x
_atom_site_fract_y
_atom_site_fract_z
_atom_site_occupancy
U1 0.0000 0.2436 0.2500 1
Fe1 0.0000 0.0000 0.0000 1
Se1 0.0000 0.0813 0.7500 1
Se2 0.0000 0.3586 0.5568 1